Below is Na3Si2PO8 after structural relaxation, with properties calculated at the PBE level.

Geometry as POSCAR:
```
Na3Si2PO8
1.0
-0.8751 10.8648 -1.9481
-3.0345 -1.4042 -6.4683
-10.2376 0.0349 4.7936
Na Si P O
12 8 4 32
direct
0.6786 0.2187 0.2605
0.8212 0.2808 0.7605
0.0846 0.4716 0.2542
0.7281 0.8636 0.8235
0.5846 0.5284 0.7458
0.2723 0.3637 0.6770
0.1786 0.7813 0.7395
0.2281 0.1364 0.1765
0.9157 0.9719 0.2453
0.4157 0.0281 0.7547
0.7723 0.6363 0.3230
0.3212 0.7192 0.2395
0.4292 0.7205 0.5310
0.1185 0.1228 0.8778
0.9292 0.2795 0.4690
0.3813 0.3770 0.3779
0.6185 0.8772 0.1222
0.0707 0.7791 0.0305
0.5707 0.2209 0.9695
0.8813 0.6230 0.6221
0.5246 0.6170 0.0141
0.9749 0.8829 0.5135
0.4749 0.1171 0.4865
0.0246 0.3830 0.9859
0.8208 0.3237 0.3822
0.9309 0.7787 0.0862
0.5693 0.7207 0.5864
0.6795 0.1761 0.8829
0.0693 0.2793 0.4136
0.9127 0.0777 0.5464
0.5611 0.8372 0.6972
0.6478 0.7520 0.9979
0.7909 0.5929 0.7280
0.5589 0.0744 0.0820
0.7093 0.9068 0.2277
0.1795 0.8239 0.1171
0.5874 0.4224 0.0468
0.0611 0.1628 0.3028
0.4309 0.2213 0.9138
0.4407 0.5744 0.4187
0.4127 0.9223 0.4536
0.5054 0.7191 0.1465
0.9393 0.6624 0.1969
0.9407 0.4256 0.5813
0.4393 0.3376 0.8031
0.2909 0.4071 0.2720
0.4946 0.2191 0.3542
0.0874 0.5776 0.9532
0.0589 0.9256 0.9180
0.3516 0.2516 0.5022
0.2093 0.0932 0.7723
0.3208 0.6763 0.6178
0.9946 0.7809 0.6458
0.8516 0.7484 0.4978
0.0054 0.2809 0.8535
0.1478 0.2480 0.0021
```

Values from the calculation:
calculated total energy = -6.19 eV per atom
symmetry = P2_1 (4)
ΔH_f (0 K) = -2.179 eV per atom
offset from the most stable computed form = 0.35 kcal/mol of atoms
calculated density = 2.1 Mg/m³